No. 1
MnSiO3: relaxed, r²SCAN.

## Properties
Its space group is P2_1/c, No. 14. The formation enthalpy at 0 K comes out at -2.642 eV/atom. For the calculated volume, the calculation gives 11.4 Å³ per atom.

Cell: 9.5924 9.1845 5.3206 Å, 90.00 102.99 90.00°
Positions (direct):
Mn  0.2477  0.0153  0.4792
Mn  0.2477  0.4847  0.9792
Mn  0.2486  0.6512  0.4823
Mn  0.2486  0.8488  0.9823
Mn  0.7514  0.1512  0.0177
Mn  0.7514  0.3488  0.5177
Mn  0.7523  0.5153  0.0208
Mn  0.7523  0.9847  0.5208
Si  0.0506  0.1646  0.8019
Si  0.0506  0.3354  0.3019
Si  0.4553  0.1620  0.2418
Si  0.4553  0.3380  0.7418
Si  0.5447  0.6620  0.2582
Si  0.5447  0.8380  0.7582
Si  0.9494  0.6646  0.6981
Si  0.9494  0.8354  0.1981
O  0.1013  0.2124  0.1099
O  0.1013  0.2876  0.6099
O  0.1229  0.6578  0.7684
O  0.1229  0.8422  0.2684
O  0.1306  0.0173  0.7544
O  0.1306  0.4827  0.2544
O  0.3715  0.6599  0.1944
O  0.3715  0.8401  0.6944
O  0.3786  0.0059  0.2178
O  0.3786  0.4941  0.7178
O  0.3971  0.2392  0.4811
O  0.3971  0.2608  0.9811
O  0.6029  0.7392  0.0189
O  0.6029  0.7608  0.5189
O  0.6214  0.5059  0.2822
O  0.6214  0.9941  0.7822
O  0.6285  0.1599  0.3056
O  0.6285  0.3401  0.8056
O  0.8694  0.5173  0.7456
O  0.8694  0.9827  0.2456
O  0.8771  0.1578  0.7316
O  0.8771  0.3422  0.2316
O  0.8987  0.7124  0.3901
O  0.8987  0.7876  0.8901

***

No. 2
CsInI3: relaxed, r²SCAN.

## Properties
Its space group is P1, No. 1. The formation enthalpy at 0 K comes out at -1.080 eV/atom. For the calculated volume, the calculation gives 45.7 Å³ per atom.

Cell: 6.1057 6.1149 6.1171 Å, 90.05 90.08 90.01°
Positions (direct):
Cs  0.0000  0.0000  0.0000
In  0.5000  0.5021  0.4939
I  0.4975  0.5025  0.9944
I  0.4991  0.0032  0.4967
I  0.9994  0.5053  0.4943

***

No. 3
HoErCu2: relaxed, r²SCAN.

## Properties
Its space group is Fm-3m, No. 225. The formation enthalpy at 0 K comes out at -0.276 eV/atom. For the calculated volume, the calculation gives 19.9 Å³ per atom.

Cell: 6.8253 6.8253 6.8253 Å, 90.00 90.00 90.00°
Positions (direct):
Ho  0.0000  0.0000  0.0000
Ho  0.0000  0.5000  0.5000
Ho  0.5000  0.0000  0.5000
Ho  0.5000  0.5000  0.0000
Er  0.0000  0.0000  0.5000
Er  0.0000  0.5000  0.0000
Er  0.5000  0.0000  0.0000
Er  0.5000  0.5000  0.5000
Cu  0.2500  0.2500  0.2500
Cu  0.2500  0.2500  0.7500
Cu  0.2500  0.7500  0.2500
Cu  0.2500  0.7500  0.7500
Cu  0.7500  0.2500  0.2500
Cu  0.7500  0.2500  0.7500
Cu  0.7500  0.7500  0.2500
Cu  0.7500  0.7500  0.7500